Here is a geometry-optimized Mn2OF3 structure from the Materials Project database. Energies are from PBE with a Hubbard U.

Cell: 4.831 5.804 13.643 Å, 78.87 89.15 88.98°
Positions (direct):
Mn: 0.497 0.300 0.600
Mn: 0.548 0.686 0.405
Mn: 0.496 0.097 0.201
Mn: 0.015 0.792 0.596
Mn: 0.970 0.401 0.814
Mn: 0.987 0.221 0.398
Mn: 0.993 0.997 0.000
Mn: 0.496 0.503 0.002
Mn: 0.478 0.904 0.786
Mn: 0.010 0.607 0.198
F: 0.688 0.821 0.927
F: 0.797 0.107 0.539
F: 0.193 0.071 0.862
F: 0.305 0.577 0.860
F: 0.300 0.371 0.465
F: 0.809 0.922 0.140
F: 0.803 0.727 0.738
F: 0.295 0.186 0.061
F: 0.190 0.284 0.256
F: 0.211 0.884 0.453
F: 0.198 0.477 0.672
F: 0.696 0.227 0.738
F: 0.691 0.426 0.140
F: 0.324 0.768 0.270
F: 0.702 0.024 0.340
O: 0.818 0.530 0.334
O: 0.793 0.303 0.948
O: 0.312 0.001 0.656
O: 0.192 0.694 0.060
O: 0.692 0.591 0.540

Calculated values
The symmetry is P1 (1). The value obtained for the formation energy is -2601 meV per atom.